A geometry-optimized Ac2SiAu structure, computed with r²SCAN.

Results
The value obtained for the total magnetic moment is 2.6 μB/cell. For the formation energy, the calculation gives -0.642 eV/atom. For the density, the calculation gives 9.58 Mg/m³. As for the crystal system: cubic.

```
data_Ac2SiAu
_cell_length_a 7.7804
_cell_length_b 7.7804
_cell_length_c 7.7804
_cell_angle_alpha 90.00
_cell_angle_beta 90.00
_cell_angle_gamma 90.00
_space_group_name_H-M_alt 'F m -3 m'
_space_group_IT_number 225
_space_group_name_Hall '-F 4 2 3'
loop_
_atom_site_label
_atom_site_type_symbol
_atom_site_fract_x
_atom_site_fract_y
_atom_site_fract_z
Ac1 Ac 0.2500 0.2500 0.2500
Si1 Si 0.0000 0.0000 0.0000
Au1 Au 0.0000 0.0000 0.5000
```